Entry 1:
Compound: Li4Fe2O5
Source: Materials Project
Functional: GGA+U
Structure: optimized geometry

Output
SG: P2_1/c (14)
Energy above the lowest structure with this stoichiometry, eV per atom: 0.026
Formation energy from the elements, eV per atom: -1.91

Unit cell a=5.591 b=7.764 c=12.097 alpha=64.89 beta=90.00 gamma=90.00
Fractional coordinates of all 44 atoms:
Li 0.937 0.170 0.987
Li 0.549 0.699 0.980
Li 0.107 0.576 0.897
Li 0.433 0.143 0.885
Li 0.607 0.424 0.603
Li 0.933 0.857 0.615
Li 0.437 0.830 0.513
Li 0.951 0.699 0.480
Li 0.049 0.301 0.520
Li 0.563 0.170 0.487
Li 0.067 0.143 0.385
Li 0.393 0.576 0.397
Li 0.567 0.857 0.115
Li 0.893 0.424 0.103
Li 0.451 0.301 0.020
Li 0.063 0.830 0.013
Fe 0.629 0.560 0.801
Fe 0.129 0.440 0.699
Fe 0.783 0.004 0.795
Fe 0.283 0.996 0.705
Fe 0.717 0.004 0.295
Fe 0.217 0.996 0.205
Fe 0.871 0.560 0.301
Fe 0.371 0.440 0.199
O 0.780 0.419 0.950
O 0.321 0.420 0.838
O 0.748 0.973 0.959
O 0.020 0.826 0.785
O 0.533 0.798 0.799
O 0.821 0.580 0.662
O 0.033 0.202 0.701
O 0.520 0.174 0.715
O 0.280 0.581 0.550
O 0.248 0.027 0.541
O 0.752 0.973 0.459
O 0.720 0.419 0.450
O 0.480 0.826 0.285
O 0.967 0.798 0.299
O 0.179 0.420 0.338
O 0.467 0.202 0.201
O 0.980 0.174 0.215
O 0.252 0.027 0.041
O 0.679 0.580 0.162
O 0.220 0.581 0.050

Entry 2:
Compound: CrP2Pb5O13
Source: Materials Project
Functional: GGA+U
Structure: optimized geometry

Output
SG: Pnma (62)
Formation energy from the elements, eV per atom: -2.09

Unit cell a=9.621 b=10.494 c=13.712 alpha=90.00 beta=90.00 gamma=90.00
Fractional coordinates of all 84 atoms:
Cr 0.571 0.750 0.001
Cr 0.071 0.250 0.499
Cr 0.429 0.250 0.999
Cr 0.929 0.750 0.501
P 0.430 0.967 0.340
P 0.430 0.533 0.340
P 0.070 0.967 0.840
P 0.070 0.533 0.840
P 0.570 0.033 0.660
P 0.930 0.467 0.160
P 0.570 0.467 0.660
P 0.930 0.033 0.160
Pb 0.213 0.943 0.576
Pb 0.296 0.250 0.764
Pb 0.658 0.250 0.221
Pb 0.342 0.750 0.779
Pb 0.158 0.750 0.279
Pb 0.796 0.750 0.736
Pb 0.713 0.057 0.924
Pb 0.213 0.557 0.576
Pb 0.971 0.750 0.024
Pb 0.204 0.250 0.264
Pb 0.029 0.250 0.976
Pb 0.471 0.250 0.476
Pb 0.287 0.943 0.076
Pb 0.713 0.443 0.924
Pb 0.787 0.057 0.424
Pb 0.287 0.557 0.076
Pb 0.842 0.250 0.721
Pb 0.704 0.750 0.236
Pb 0.529 0.750 0.524
Pb 0.787 0.443 0.424
O 0.675 0.250 0.387
O 0.592 0.613 0.671
O 0.092 0.387 0.829
O 0.155 0.250 0.606
O 0.348 0.605 0.259
O 0.880 0.419 0.058
O 0.848 0.105 0.241
O 0.107 0.122 0.433
O 0.589 0.563 0.331
O 0.089 0.437 0.169
O 0.592 0.887 0.671
O 0.620 0.081 0.558
O 0.380 0.581 0.442
O 0.089 0.063 0.169
O 0.345 0.250 0.106
O 0.380 0.919 0.442
O 0.908 0.887 0.171
O 0.602 0.250 0.021
O 0.898 0.250 0.521
O 0.102 0.750 0.479
O 0.893 0.878 0.567
O 0.348 0.895 0.259
O 0.120 0.581 0.942
O 0.845 0.750 0.394
O 0.408 0.113 0.329
O 0.175 0.750 0.113
O 0.120 0.919 0.942
O 0.911 0.937 0.831
O 0.092 0.113 0.829
O 0.325 0.750 0.613
O 0.393 0.122 0.933
O 0.152 0.895 0.759
O 0.411 0.437 0.669
O 0.152 0.605 0.759
O 0.620 0.419 0.558
O 0.825 0.250 0.887
O 0.652 0.395 0.741
O 0.107 0.378 0.433
O 0.880 0.081 0.058
O 0.393 0.378 0.933
O 0.411 0.063 0.669
O 0.911 0.563 0.831
O 0.655 0.750 0.894
O 0.908 0.613 0.171
O 0.848 0.395 0.241
O 0.408 0.387 0.329
O 0.589 0.937 0.331
O 0.607 0.622 0.067
O 0.652 0.105 0.741
O 0.607 0.878 0.067
O 0.893 0.622 0.567
O 0.398 0.750 0.979

Entry 3:
Compound: La2MnP2O
Source: Materials Project
Functional: GGA+U
Structure: optimized geometry

Output
SG: P4/mmm (123)
Energy above the lowest structure with this stoichiometry, eV per atom: 0.244
Formation energy from the elements, eV per atom: -0.01

Unit cell a=7.264 b=7.264 c=14.204 alpha=90.00 beta=90.00 gamma=90.00
Fractional coordinates of all 6 atoms:
La 0.500 0.500 0.654
La 0.500 0.500 0.346
Mn 0.500 0.500 0.000
P 0.500 0.500 0.166
P 0.500 0.500 0.834
O 0.500 0.500 0.500

Entry 4:
Compound: LiNi2OF3
Source: Materials Project
Functional: GGA+U
Structure: optimized geometry

Output
SG: Pnma (62)
Energy above the lowest structure with this stoichiometry, eV per atom: 0.025
Formation energy from the elements, eV per atom: -2.16

Unit cell a=5.042 b=5.979 c=10.216 alpha=90.00 beta=90.00 gamma=90.00
Fractional coordinates of all 28 atoms:
Li 0.967 0.750 0.593
Li 0.533 0.750 0.093
Li 0.467 0.250 0.907
Li 0.033 0.250 0.407
Ni 0.000 0.000 0.000
Ni 0.000 0.500 0.000
Ni 0.994 0.250 0.741
Ni 0.506 0.250 0.241
Ni 0.500 0.500 0.500
Ni 0.500 0.000 0.500
Ni 0.494 0.750 0.759
Ni 0.006 0.750 0.259
O 0.830 0.250 0.914
O 0.670 0.250 0.414
O 0.330 0.750 0.586
O 0.170 0.750 0.086
F 0.778 0.750 0.425
F 0.761 0.991 0.670
F 0.761 0.509 0.670
F 0.739 0.991 0.170
F 0.739 0.509 0.170
F 0.722 0.750 0.925
F 0.278 0.250 0.075
F 0.261 0.009 0.830
F 0.261 0.491 0.830
F 0.239 0.491 0.330
F 0.239 0.009 0.330
F 0.222 0.250 0.575

Entry 5:
Compound: CaFe2Si4O12
Source: Materials Project
Functional: GGA+U
Structure: optimized geometry

Output
SG: C2 (5)
Largest piezoelectric modulus, C/m2: 0.65
Formation energy from the elements, eV per atom: -2.88

Unit cell a=6.616 b=6.616 c=5.340 alpha=77.42 beta=77.42 gamma=84.80
Fractional coordinates of all 19 atoms:
Ca 0.304 0.696 0.500
Fe 0.092 0.908 0.000
Fe 0.889 0.111 0.500
Si 0.799 0.618 0.486
Si 0.621 0.798 0.978
Si 0.202 0.379 0.022
Si 0.382 0.201 0.514
O 0.044 0.187 0.118
O 0.610 0.096 0.458
O 0.198 0.030 0.609
O 0.655 0.646 0.261
O 0.904 0.390 0.542
O 0.813 0.956 0.882
O 0.384 0.886 0.061
O 0.114 0.616 0.939
O 0.628 0.665 0.747
O 0.354 0.345 0.739
O 0.970 0.802 0.391
O 0.335 0.372 0.253

Entry 6:
Compound: Li3Fe8B8O24
Source: Materials Project
Functional: GGA+U
Structure: optimized geometry

Output
SG: P1 (1)
Energy above the lowest structure with this stoichiometry, eV per atom: 0.010
Formation energy from the elements, eV per atom: -2.25

Unit cell a=5.316 b=9.028 c=10.043 alpha=90.50 beta=91.31 gamma=90.53
Fractional coordinates of all 43 atoms:
Li 0.651 0.000 0.087
Li 0.156 0.503 0.094
Li 0.342 0.991 0.356
Fe 0.152 0.159 0.118
Fe 0.838 0.170 0.374
Fe 0.340 0.335 0.869
Fe 0.663 0.336 0.626
Fe 0.335 0.661 0.372
Fe 0.162 0.841 0.624
Fe 0.665 0.657 0.122
Fe 0.838 0.833 0.863
B 0.175 0.174 0.619
B 0.333 0.326 0.372
B 0.832 0.167 0.873
B 0.666 0.331 0.121
B 0.333 0.670 0.877
B 0.657 0.669 0.621
B 0.164 0.831 0.128
B 0.831 0.834 0.368
O 0.286 0.042 0.607
O 0.081 0.190 0.911
O 0.723 0.031 0.890
O 0.197 0.197 0.336
O 0.303 0.301 0.669
O 0.770 0.196 0.169
O 0.924 0.195 0.574
O 0.413 0.327 0.076
O 0.233 0.461 0.353
O 0.576 0.307 0.424
O 0.692 0.288 0.827
O 0.230 0.531 0.891
O 0.808 0.456 0.118
O 0.275 0.695 0.164
O 0.417 0.686 0.564
O 0.765 0.533 0.632
O 0.583 0.694 0.916
O 0.087 0.822 0.400
O 0.189 0.789 0.835
O 0.688 0.709 0.333
O 0.785 0.795 0.668
O 0.303 0.960 0.143
O 0.916 0.832 0.080
O 0.719 0.971 0.365

Entry 7:
Compound: Cs2Mn2Be3F12
Source: Materials Project
Functional: GGA+U
Structure: optimized geometry

Output
SG: P2_13 (198)
Formation energy from the elements, eV per atom: -3.13

Unit cell a=10.534 b=10.534 c=10.534 alpha=90.00 beta=90.00 gamma=90.00
Fractional coordinates of all 76 atoms:
Cs 0.048 0.048 0.048
Cs 0.452 0.952 0.548
Cs 0.952 0.548 0.452
Cs 0.548 0.452 0.952
Cs 0.816 0.816 0.816
Cs 0.684 0.184 0.316
Cs 0.184 0.316 0.684
Cs 0.316 0.684 0.184
Mn 0.335 0.335 0.335
Mn 0.165 0.665 0.835
Mn 0.665 0.835 0.165
Mn 0.835 0.165 0.665
Mn 0.599 0.599 0.599
Mn 0.901 0.401 0.099
Mn 0.401 0.099 0.901
Mn 0.099 0.901 0.401
Be 0.020 0.215 0.376
Be 0.480 0.785 0.876
Be 0.980 0.715 0.124
Be 0.376 0.020 0.215
Be 0.520 0.285 0.624
Be 0.876 0.480 0.785
Be 0.124 0.980 0.715
Be 0.624 0.520 0.285
Be 0.215 0.376 0.020
Be 0.715 0.124 0.980
Be 0.285 0.624 0.520
Be 0.785 0.876 0.480
F 0.015 0.073 0.333
F 0.485 0.927 0.833
F 0.985 0.573 0.167
F 0.333 0.015 0.073
F 0.515 0.427 0.667
F 0.833 0.485 0.927
F 0.167 0.985 0.573
F 0.667 0.515 0.427
F 0.073 0.333 0.015
F 0.573 0.167 0.985
F 0.427 0.667 0.515
F 0.927 0.833 0.485
F 0.268 0.499 0.440
F 0.232 0.501 0.940
F 0.732 0.999 0.060
F 0.440 0.268 0.499
F 0.768 0.001 0.560
F 0.940 0.232 0.501
F 0.060 0.732 0.999
F 0.560 0.768 0.001
F 0.499 0.440 0.268
F 0.999 0.060 0.732
F 0.001 0.560 0.768
F 0.501 0.940 0.232
F 0.044 0.802 0.229
F 0.456 0.198 0.729
F 0.956 0.302 0.271
F 0.229 0.044 0.802
F 0.544 0.698 0.771
F 0.729 0.456 0.198
F 0.271 0.956 0.302
F 0.771 0.544 0.698
F 0.802 0.229 0.044
F 0.302 0.271 0.956
F 0.698 0.771 0.544
F 0.198 0.729 0.456
F 0.159 0.258 0.399
F 0.341 0.742 0.899
F 0.841 0.758 0.101
F 0.399 0.159 0.258
F 0.659 0.242 0.601
F 0.899 0.341 0.742
F 0.101 0.841 0.758
F 0.601 0.659 0.242
F 0.258 0.399 0.159
F 0.758 0.101 0.841
F 0.242 0.601 0.659
F 0.742 0.899 0.341

Entry 8:
Compound: Li4Ti3Fe3Co2O16
Source: Materials Project
Functional: GGA+U
Structure: optimized geometry

Output
SG: P1 (1)
Formation energy from the elements, eV per atom: -2.24

Unit cell a=5.812 b=5.835 c=9.411 alpha=89.19 beta=90.61 gamma=120.02
Fractional coordinates of all 28 atoms:
Li 0.336 0.669 0.892
Li 0.985 0.992 0.989
Li 0.990 0.994 0.499
Li 0.669 0.334 0.393
Ti 0.174 0.834 0.214
Ti 0.174 0.340 0.213
Ti 0.340 0.170 0.719
Fe 0.665 0.832 0.211
Fe 0.830 0.652 0.710
Fe 0.837 0.180 0.706
Co 0.332 0.662 0.487
Co 0.675 0.340 0.981
O 0.160 0.823 0.606
O 0.044 0.521 0.343
O 0.322 0.662 0.098
O 0.008 0.003 0.311
O 0.986 0.995 0.800
O 0.172 0.341 0.601
O 0.474 0.954 0.348
O 0.474 0.519 0.349
O 0.341 0.172 0.102
O 0.660 0.819 0.604
O 0.531 0.486 0.841
O 0.524 0.050 0.846
O 0.672 0.331 0.601
O 0.836 0.660 0.100
O 0.955 0.488 0.846
O 0.837 0.177 0.099